# 1
A relaxed NpSi2Rh2 crystal, computed with PBE-GGA.

Results
Density: 10.0 g/cm³
Symmetry: I4/mmm, No. 139
E_form: -0.78 eV/atom

The structure in CIF format:
```
data_NpSi2Rh2
_chemical_formula_sum 'Np1 Si2 Rh2'
_space_group_name_H-M_alt 'P 1'
_space_group_IT_number 1
_cell_length_a 5.851
_cell_length_b 5.851
_cell_length_c 5.851
_cell_angle_alpha 139.64
_cell_angle_beta 139.64
_cell_angle_gamma 58.40
loop_
_space_group_symop_operation_xyz
'x,y,z'
loop_
_atom_site_label
_atom_site_type_symbol
_atom_site_fract_x
_atom_site_fract_y
_atom_site_fract_z
Np1 Np 0.000 0.000 0.000
Si1 Si 0.380 0.380 0.000
Si2 Si 0.620 0.620 0.000
Rh1 Rh 0.250 0.750 0.500
Rh2 Rh 0.750 0.250 0.500
```

# 2
A relaxed NpSnRh2 crystal, computed with PBE-GGA.

Results
Density: 12.6 g/cm³
Symmetry: Fm-3m, No. 225
E_form: -0.22 eV/atom

The structure in CIF format:
```
data_NpSnRh2
_chemical_formula_sum 'Np1 Sn1 Rh2'
_space_group_name_H-M_alt 'P 1'
_space_group_IT_number 1
_cell_length_a 4.708
_cell_length_b 4.708
_cell_length_c 4.708
_cell_angle_alpha 60.00
_cell_angle_beta 60.00
_cell_angle_gamma 60.00
loop_
_space_group_symop_operation_xyz
'x,y,z'
loop_
_atom_site_label
_atom_site_type_symbol
_atom_site_fract_x
_atom_site_fract_y
_atom_site_fract_z
Np1 Np 0.000 0.000 0.000
Sn1 Sn 0.500 0.500 0.500
Rh1 Rh 0.250 0.250 0.250
Rh2 Rh 0.750 0.750 0.750
```

# 3
A relaxed NpRu2 crystal, computed with PBE-GGA.

Results
Density: 14.4 g/cm³
Symmetry: Fd-3m, No. 227
E_form: 0.16 eV/atom

The structure in CIF format:
```
data_NpRu2
_chemical_formula_sum 'Np2 Ru4'
_space_group_name_H-M_alt 'P 1'
_space_group_IT_number 1
_cell_length_a 5.231
_cell_length_b 5.231
_cell_length_c 5.231
_cell_angle_alpha 60.00
_cell_angle_beta 60.00
_cell_angle_gamma 60.00
loop_
_space_group_symop_operation_xyz
'x,y,z'
loop_
_atom_site_label
_atom_site_type_symbol
_atom_site_fract_x
_atom_site_fract_y
_atom_site_fract_z
Np1 Np 0.125 0.125 0.125
Np2 Np 0.875 0.875 0.875
Ru1 Ru 0.000 0.500 0.500
Ru2 Ru 0.500 0.000 0.500
Ru3 Ru 0.500 0.500 0.000
Ru4 Ru 0.500 0.500 0.500
```

# 4
A relaxed NpScRu2 crystal, computed with PBE-GGA.

Results
Density: 11.4 g/cm³
Symmetry: Fm-3m, No. 225
E_form: -0.12 eV/atom

The structure in CIF format:
```
data_NpScRu2
_chemical_formula_sum 'Np1 Sc1 Ru2'
_space_group_name_H-M_alt 'P 1'
_space_group_IT_number 1
_cell_length_a 4.637
_cell_length_b 4.637
_cell_length_c 4.637
_cell_angle_alpha 60.00
_cell_angle_beta 60.00
_cell_angle_gamma 60.00
loop_
_space_group_symop_operation_xyz
'x,y,z'
loop_
_atom_site_label
_atom_site_type_symbol
_atom_site_fract_x
_atom_site_fract_y
_atom_site_fract_z
Np1 Np 0.000 0.000 0.000
Sc1 Sc 0.500 0.500 0.500
Ru1 Ru 0.250 0.250 0.250
Ru2 Ru 0.750 0.750 0.750
```

# 5
A relaxed TmNpRu2 crystal, computed with PBE-GGA.

Results
Density: 13.2 g/cm³
Symmetry: Fm-3m, No. 225
E_form: -0.27 eV/atom

The structure in CIF format:
```
data_TmNpRu2
_chemical_formula_sum 'Tm1 Np1 Ru2'
_space_group_name_H-M_alt 'P 1'
_space_group_IT_number 1
_cell_length_a 4.761
_cell_length_b 4.761
_cell_length_c 4.761
_cell_angle_alpha 60.00
_cell_angle_beta 60.00
_cell_angle_gamma 60.00
loop_
_space_group_symop_operation_xyz
'x,y,z'
loop_
_atom_site_label
_atom_site_type_symbol
_atom_site_fract_x
_atom_site_fract_y
_atom_site_fract_z
Tm1 Tm 0.000 0.000 0.000
Np1 Np 0.500 0.500 0.500
Ru1 Ru 0.250 0.250 0.250
Ru2 Ru 0.750 0.750 0.750
```

# 6
A relaxed Np3S5 crystal, computed with PBE-GGA.

Results
Total energy after the MP2020 corrections: -293.993 eV per cell
Density: 8.7 g/cm³
Symmetry: Pnma, No. 62
E_form: -1.75 eV/atom

The structure in CIF format:
```
data_Np3S5
_chemical_formula_sum 'Np12 S20'
_space_group_name_H-M_alt 'P 1'
_space_group_IT_number 1
_cell_length_a 11.496
_cell_length_b 7.924
_cell_length_c 7.309
_cell_angle_alpha 90.00
_cell_angle_beta 90.00
_cell_angle_gamma 90.00
loop_
_space_group_symop_operation_xyz
'x,y,z'
loop_
_atom_site_label
_atom_site_type_symbol
_atom_site_fract_x
_atom_site_fract_y
_atom_site_fract_z
Np1 Np 0.009 0.250 0.077
Np2 Np 0.179 0.003 0.523
Np3 Np 0.179 0.497 0.523
Np4 Np 0.321 0.503 0.023
Np5 Np 0.321 0.997 0.023
Np6 Np 0.491 0.750 0.577
Np7 Np 0.509 0.250 0.423
Np8 Np 0.679 0.003 0.977
Np9 Np 0.679 0.497 0.977
Np10 Np 0.821 0.503 0.477
Np11 Np 0.821 0.997 0.477
Np12 Np 0.991 0.750 0.923
S1 S 0.001 0.750 0.537
S2 S 0.096 0.548 0.170
S3 S 0.096 0.952 0.170
S4 S 0.191 0.250 0.831
S5 S 0.218 0.750 0.801
S6 S 0.282 0.250 0.301
S7 S 0.309 0.750 0.331
S8 S 0.404 0.048 0.670
S9 S 0.404 0.452 0.670
S10 S 0.499 0.250 0.037
S11 S 0.501 0.750 0.963
S12 S 0.596 0.548 0.330
S13 S 0.596 0.952 0.330
S14 S 0.691 0.250 0.669
S15 S 0.718 0.750 0.699
S16 S 0.782 0.250 0.199
S17 S 0.809 0.750 0.169
S18 S 0.904 0.048 0.830
S19 S 0.904 0.452 0.830
S20 S 0.999 0.250 0.463
```